# Na14Nb2Ga6Si9S3O48

A geometry-optimized Na14Nb2Ga6Si9S3O48 structure (PBE-GGA, Materials Project).

```
data_Na14Nb2Ga6Si9S3O48
_symmetry_space_group_name_H-M 'P 1'
_symmetry_Int_Tables_number 1
_symmetry_space_group_name_Hall 'P 1'
_cell_length_a 8.9823
_cell_length_b 15.5435
_cell_length_c 22.0142
_cell_angle_alpha 90.14
_cell_angle_beta 90.19
_cell_angle_gamma 90.09
loop_
_atom_site_label
_atom_site_type_symbol
_atom_site_fract_x
_atom_site_fract_y
_atom_site_fract_z
Na1 Na 0.0000 0.0000 0.0000
Na2 Na 0.0020 0.3320 0.3310
Na3 Na 0.0128 0.6696 0.6623
Na4 Na 0.1303 0.1697 0.4107
Na5 Na 0.1353 0.8368 0.0793
Na6 Na 0.1382 0.1715 0.9146
Na7 Na 0.1383 0.5017 0.7472
Na8 Na 0.1382 0.8366 0.5798
Na9 Na 0.1425 0.5088 0.2402
Na10 Na 0.2655 0.3335 0.8382
Na11 Na 0.2749 0.9975 0.4968
Na12 Na 0.3105 0.6506 0.8312
Na13 Na 0.3111 0.6871 0.4938
Na14 Na 0.3187 0.3550 0.1604
Na15 Na 0.3246 0.0223 0.8309
Na16 Na 0.3246 0.3214 0.4965
Na17 Na 0.4482 0.5229 0.3284
Na18 Na 0.4493 0.8232 0.9993
Na19 Na 0.4535 0.8566 0.6609
Na20 Na 0.4581 0.1867 0.9983
Na21 Na 0.4601 0.1507 0.3276
Na22 Na 0.4953 0.4963 0.9991
Na23 Na 0.5065 0.8341 0.3351
Na24 Na 0.6312 0.0091 0.7413
Na25 Na 0.6346 0.3347 0.0808
Na26 Na 0.6353 0.6712 0.4092
Na27 Na 0.6372 0.3334 0.5765
Na28 Na 0.6416 0.0029 0.2433
Na29 Na 0.6424 0.6701 0.9144
Na30 Na 0.7638 0.1656 0.1634
Na31 Na 0.7745 0.4991 0.4962
Na32 Na 0.7735 0.8338 0.8343
Na33 Na 0.8112 0.1840 0.4949
Na34 Na 0.8206 0.1524 0.8345
Na35 Na 0.8244 0.4822 0.1613
Na36 Na 0.8267 0.8237 0.4944
Na37 Na 0.8321 0.5208 0.8357
Na38 Na 0.9428 0.0228 0.3295
Na39 Na 0.9491 0.9831 0.6615
Na40 Na 0.9508 0.3208 0.9977
Na41 Na 0.9543 0.6541 0.3310
Na42 Na 0.9619 0.6841 0.9973
Nb1 Nb 0.1200 0.8308 0.2255
Nb2 Nb 0.1318 0.1641 0.5591
Nb3 Nb 0.1383 0.1682 0.0621
Nb4 Nb 0.6303 0.6760 0.5581
Nb5 Nb 0.6410 0.6641 0.0598
Nb6 Nb 0.6472 0.3263 0.7284
Ga1 Ga 0.1212 0.1688 0.2549
Ga2 Ga 0.1228 0.8294 0.9394
Ga3 Ga 0.1246 0.5045 0.9011
Ga4 Ga 0.1330 0.8272 0.4356
Ga5 Ga 0.1359 0.8276 0.7213
Ga6 Ga 0.1386 0.1699 0.7643
Ga7 Ga 0.1409 0.5045 0.1006
Ga8 Ga 0.1418 0.5097 0.4041
Ga9 Ga 0.1536 0.5061 0.5913
Ga10 Ga 0.6315 0.0089 0.9078
Ga11 Ga 0.6331 0.0058 0.6007
Ga12 Ga 0.6335 0.6709 0.2634
Ga13 Ga 0.6371 0.0065 0.0972
Ga14 Ga 0.6384 0.3262 0.2207
Ga15 Ga 0.6403 0.3268 0.9375
Ga16 Ga 0.6414 0.6736 0.7603
Ga17 Ga 0.6485 0.0057 0.3984
Ga18 Ga 0.6494 0.3289 0.4379
Si1 Si 0.2767 0.6446 0.9961
Si2 Si 0.2828 0.3602 0.9959
Si3 Si 0.2846 0.6866 0.3333
Si4 Si 0.2862 0.0224 0.6696
Si5 Si 0.3436 0.6612 0.6687
Si6 Si 0.3463 0.9987 0.9967
Si7 Si 0.4275 0.1630 0.1691
Si8 Si 0.4313 0.4978 0.4955
Si9 Si 0.4868 0.1847 0.8348
Si10 Si 0.4873 0.5220 0.1697
Si11 Si 0.4882 0.8642 0.4956
Si12 Si 0.4966 0.1446 0.4962
Si13 Si 0.7775 0.8617 0.9968
Si14 Si 0.7820 0.1477 0.9977
Si15 Si 0.7830 0.8184 0.6666
Si16 Si 0.7842 0.1905 0.3304
Si17 Si 0.8372 0.8351 0.3342
Si18 Si 0.8473 0.1660 0.6661
Si19 Si 0.8481 0.4978 0.9974
Si20 Si 0.9240 0.9973 0.4977
Si21 Si 0.9263 0.6645 0.1667
Si22 Si 0.9360 0.3350 0.8343
Si23 Si 0.9846 0.0199 0.1647
Si24 Si 0.9894 0.6901 0.8292
Si25 Si 0.9913 0.3185 0.1663
Si26 Si 0.9922 0.6469 0.4985
Si27 Si 0.9962 0.3633 0.4979
S1 S 0.2812 0.3179 0.6654
S2 S 0.2811 0.9810 0.3318
S3 S 0.3463 0.3361 0.3316
S4 S 0.4272 0.8353 0.8305
S5 S 0.4914 0.8161 0.1654
S6 S 0.4942 0.4818 0.8302
S7 S 0.7811 0.5214 0.6650
S8 S 0.7829 0.4793 0.3316
S9 S 0.9910 0.9792 0.8307
O1 O 0.0036 0.5866 0.4378
O2 O 0.0080 0.0785 0.2256
O3 O 0.0078 0.7532 0.8889
O4 O 0.0200 0.2522 0.1075
O5 O 0.0204 0.9266 0.7758
O6 O 0.0206 0.4251 0.5566
O7 O 0.0248 0.5798 0.1597
O8 O 0.0306 0.7533 0.1691
O9 O 0.0334 0.0867 0.5036
O10 O 0.0357 0.2481 0.8238
O11 O 0.0366 0.4223 0.8335
O12 O 0.0403 0.9175 0.4903
O13 O 0.0580 0.0675 0.8279
O14 O 0.0599 0.9405 0.8858
O15 O 0.0633 0.7429 0.4949
O16 O 0.0638 0.0671 0.1054
O17 O 0.0685 0.4114 0.1597
O18 O 0.0688 0.5948 0.8345
O19 O 0.0691 0.6071 0.5590
O20 O 0.0703 0.7345 0.7702
O21 O 0.0714 0.2770 0.2261
O22 O 0.0728 0.2652 0.5051
O23 O 0.0761 0.4006 0.4359
O24 O 0.0761 0.9275 0.1709
O25 O 0.1924 0.6038 0.0532
O26 O 0.2001 0.3988 0.9348
O27 O 0.1999 0.5915 0.3356
O28 O 0.2022 0.9274 0.6733
O29 O 0.2035 0.0706 0.6091
O30 O 0.2041 0.7389 0.2755
O31 O 0.2070 0.2621 0.0023
O32 O 0.2113 0.4025 0.6600
O33 O 0.2112 0.7432 0.9902
O34 O 0.2138 0.0682 0.3274
O35 O 0.2148 0.9422 0.3870
O36 O 0.2210 0.2770 0.7209
O37 O 0.2307 0.5791 0.6603
O38 O 0.2353 0.9151 0.9873
O39 O 0.2408 0.0860 0.0031
O40 O 0.2472 0.4133 0.3352
O41 O 0.2504 0.7524 0.6683
O42 O 0.2505 0.9256 0.2778
O43 O 0.2514 0.0825 0.7281
O44 O 0.2528 0.2567 0.3287
O45 O 0.2590 0.2630 0.6105
O46 O 0.2605 0.4184 0.0563
O47 O 0.2617 0.7486 0.3925
O48 O 0.2686 0.5856 0.9339
O49 O 0.3065 0.1788 0.8254
O50 O 0.3093 0.8469 0.4909
O51 O 0.3112 0.5099 0.1607
O52 O 0.3124 0.1585 0.5059
O53 O 0.3188 0.1821 0.1084
O54 O 0.3217 0.1535 0.2292
O55 O 0.3262 0.8226 0.1706
O56 O 0.3300 0.4891 0.8315
O57 O 0.3308 0.4757 0.5541
O58 O 0.3343 0.5260 0.4359
O59 O 0.3343 0.8488 0.7754
O60 O 0.3345 0.8231 0.8854
O61 O 0.4381 0.0235 0.9342
O62 O 0.4391 0.3506 0.2769
O63 O 0.4402 0.3251 0.3870
O64 O 0.4459 0.9879 0.3339
O65 O 0.4482 0.3272 0.6711
O66 O 0.4508 0.6492 0.7282
O67 O 0.4540 0.9776 0.0533
O68 O 0.4564 0.6779 0.6088
O69 O 0.4608 0.6581 0.0050
O70 O 0.4623 0.0097 0.6608
O71 O 0.4637 0.3476 0.9900
O72 O 0.4659 0.6782 0.3260
O73 O 0.5039 0.0847 0.4351
O74 O 0.5126 0.2511 0.8905
O75 O 0.5142 0.9176 0.5576
O76 O 0.5167 0.7610 0.1105
O77 O 0.5214 0.7547 0.8274
O78 O 0.5216 0.5822 0.2284
O79 O 0.5234 0.2541 0.1683
O80 O 0.5252 0.4261 0.7756
O81 O 0.5269 0.9116 0.8336
O82 O 0.5356 0.0807 0.1610
O83 O 0.5374 0.5847 0.5059
O84 O 0.5410 0.4151 0.4870
O85 O 0.5546 0.7760 0.2210
O86 O 0.5600 0.4437 0.8851
O87 O 0.5601 0.9007 0.1599
O88 O 0.5616 0.2436 0.4907
O89 O 0.5642 0.5688 0.8248
O90 O 0.5651 0.7637 0.5025
O91 O 0.5685 0.2371 0.7751
O92 O 0.5691 0.5703 0.1092
O93 O 0.5723 0.0912 0.8352
O94 O 0.5720 0.4278 0.1736
O95 O 0.5744 0.8991 0.4356
O96 O 0.5804 0.1047 0.5541
O97 O 0.6994 0.8982 0.9336
O98 O 0.7011 0.1078 0.0564
O99 O 0.7008 0.7636 0.0035
O100 O 0.7019 0.2355 0.2719
O101 O 0.7029 0.0953 0.3354
O102 O 0.7029 0.7746 0.7252
O103 O 0.7053 0.4360 0.6700
O104 O 0.7052 0.9108 0.6601
O105 O 0.7092 0.2435 0.9943
O106 O 0.7144 0.4408 0.3869
O107 O 0.7165 0.5620 0.6100
O108 O 0.7169 0.5674 0.3289
O109 O 0.7331 0.4176 0.9894
O110 O 0.7359 0.9220 0.3346
O111 O 0.7371 0.7477 0.3244
O112 O 0.7389 0.5867 0.0033
O113 O 0.7414 0.2559 0.6693
O114 O 0.7471 0.0814 0.6599
O115 O 0.7524 0.7511 0.6078
O116 O 0.7531 0.4268 0.2769
O117 O 0.7535 0.9232 0.0542
O118 O 0.7546 0.5749 0.7206
O119 O 0.7637 0.2525 0.3908
O120 O 0.7698 0.0880 0.9359
O121 O 0.8028 0.6768 0.8228
O122 O 0.8064 0.0122 0.1581
O123 O 0.8081 0.6550 0.5052
O124 O 0.8096 0.3236 0.1683
O125 O 0.8151 0.3490 0.4940
O126 O 0.8162 0.3511 0.7748
O127 O 0.8202 0.6845 0.1062
O128 O 0.8224 0.6534 0.2262
O129 O 0.8239 0.3168 0.8901
O130 O 0.8260 0.9871 0.8342
O131 O 0.8277 0.9804 0.5582
O132 O 0.8320 0.0261 0.4375
O133 O 0.9389 0.5267 0.9366
O134 O 0.9432 0.5124 0.6612
O135 O 0.9463 0.4810 0.0573
O136 O 0.9460 0.8158 0.3918
O137 O 0.9486 0.4869 0.3356
O138 O 0.9501 0.1549 0.7260
O139 O 0.9526 0.1858 0.6059
O140 O 0.9539 0.8515 0.2754
O141 O 0.9588 0.8477 0.9931
O142 O 0.9644 0.8228 0.6679
O143 O 0.9651 0.1576 0.0017
O144 O 0.9696 0.1799 0.3257
```

=====

# Tm11Cd45

A geometry-optimized Tm11Cd45 structure (PBE-GGA, Materials Project).

```
data_Tm11Cd45
_symmetry_space_group_name_H-M 'F -4 3 m'
_symmetry_Int_Tables_number 216
_symmetry_space_group_name_Hall 'F -4 2 3'
_cell_length_a 21.7540
_cell_length_b 21.7540
_cell_length_c 21.7540
_cell_angle_alpha 90.00
_cell_angle_beta 90.00
_cell_angle_gamma 90.00
loop_
_atom_site_label
_atom_site_type_symbol
_atom_site_fract_x
_atom_site_fract_y
_atom_site_fract_z
Tm1 Tm 0.0000 0.0000 0.0000
Tm2 Tm 0.0137 0.1737 0.8263
Tm3 Tm 0.0936 0.0936 0.5936
Tm4 Tm 0.1617 0.1617 0.3383
Tm5 Tm 0.2500 0.2500 0.7500
Cd1 Cd 0.0000 0.0000 0.1560
Cd2 Cd 0.0000 0.0000 0.5000
Cd3 Cd 0.0128 0.1730 0.3270
Cd4 Cd 0.0453 0.0453 0.3595
Cd5 Cd 0.0632 0.0632 0.7369
Cd6 Cd 0.0834 0.0834 0.9166
Cd7 Cd 0.0846 0.0846 0.2358
Cd8 Cd 0.0865 0.0865 0.0865
Cd9 Cd 0.0888 0.2500 0.2500
Cd10 Cd 0.1092 0.2041 0.7041
Cd11 Cd 0.1632 0.1632 0.8368
Cd12 Cd 0.1699 0.1699 0.1699
Cd13 Cd 0.2500 0.2500 0.2500
```

=====

Asked for E_tot across the records above, the calculation gives -6.484 -1.819 eV per atom in order.